(i)
Entry from the Materials Project: a geometry-optimized S structure (PBE).

abc: 6.6775 16.6440 22.9270
angles: 46.67 90.00 90.00
Closest atoms and distances in Å follow each position.
Fractional coordinates of all 56 atoms:
1 S 0.0844 0.6971 0.7865  2 S 2.05
2 S 0.5844 0.3029 0.7135  2 S 2.05
3 S 0.9156 0.3029 0.2135  2 S 2.05
4 S 0.4156 0.6971 0.2865  2 S 2.05
5 S 0.8138 0.9558 0.4269  2 S 2.05-2.14
6 S 0.3138 0.0442 0.0731  2 S 2.05-2.14
7 S 0.1862 0.0442 0.5731  2 S 2.05-2.14
8 S 0.6862 0.9558 0.9269  2 S 2.05-2.14
9 S 0.1252 0.7612 0.4174  2 S 1.98-2.14
10 S 0.6252 0.2388 0.0826  2 S 1.98-2.14
11 S 0.8748 0.2388 0.5826  2 S 1.98-2.14
12 S 0.3748 0.7612 0.9174  2 S 1.98-2.14
13 S 0.1314 0.9416 0.4418  2 S 1.98-2.14
14 S 0.6314 0.0584 0.0582  2 S 1.98-2.14
15 S 0.8686 0.0584 0.5582  2 S 1.98-2.14
16 S 0.3686 0.9416 0.9418  2 S 1.98-2.14
17 S 0.2452 0.9003 0.3195  1 S 1.98
18 S 0.7452 0.0997 0.1805  1 S 1.98
19 S 0.7548 0.0997 0.6805  1 S 1.98
20 S 0.2548 0.9003 0.8195  1 S 1.98
21 S 0.2512 0.0180 0.3360  1 S 1.98
22 S 0.7512 0.9820 0.1640  1 S 1.98
23 S 0.7488 0.9820 0.6640  1 S 1.98
24 S 0.2488 0.0180 0.8360  1 S 1.98
25 S 0.1733 0.5407 0.8862  2 S 2.05-2.14
26 S 0.6733 0.4593 0.6138  2 S 2.05-2.14
27 S 0.8267 0.4593 0.1138  2 S 2.05-2.14
28 S 0.3267 0.5407 0.3862  2 S 2.05-2.14
29 S 0.1491 0.7193 0.6888  2 S 2.05-2.14
30 S 0.6491 0.2807 0.8112  2 S 2.05-2.14
31 S 0.8509 0.2807 0.3112  2 S 2.05-2.14
32 S 0.3509 0.7193 0.1888  2 S 2.05-2.14
33 S 0.4917 0.5565 0.8827  2 S 1.98-2.14
34 S 0.9917 0.4435 0.6173  2 S 1.98-2.14
35 S 0.5083 0.4435 0.1173  2 S 1.98-2.14
36 S 0.0083 0.5565 0.3827  2 S 1.98-2.14
37 S 0.4666 0.7418 0.6783  2 S 1.98-2.14
38 S 0.9666 0.2582 0.8217  2 S 1.98-2.14
39 S 0.5334 0.2582 0.3217  2 S 1.98-2.14
40 S 0.0334 0.7418 0.1783  2 S 1.98-2.14
41 S 0.6036 0.4836 0.8491  1 S 1.98
42 S 0.1036 0.5164 0.6509  1 S 1.98
43 S 0.3964 0.5164 0.1509  1 S 1.98
44 S 0.8964 0.4836 0.3491  1 S 1.98
45 S 0.5878 0.6049 0.7153  1 S 1.98
46 S 0.0878 0.3951 0.7847  1 S 1.98
47 S 0.4122 0.3951 0.2847  1 S 1.98
48 S 0.9122 0.6049 0.2153  1 S 1.98
49 S 0.7311 0.7995 0.4806  2 S 2.05
50 S 0.2311 0.2005 0.0194  2 S 2.05
51 S 0.2689 0.2005 0.5194  2 S 2.05
52 S 0.7689 0.7995 0.9806  2 S 2.05
53 S 0.8073 0.7807 0.4040  2 S 2.05-2.14
54 S 0.3073 0.2193 0.0960  2 S 2.05-2.14
55 S 0.1927 0.2193 0.5960  2 S 2.05-2.14
56 S 0.6927 0.7807 0.9040  2 S 2.05-2.14

## Properties
The crystal system is monoclinic.

=====

(ii)
Entry from the Materials Project: a geometry-optimized S structure (PBE).

abc: 14.7219 14.1474 9.6196
angles: 73.80 67.34 38.86
Closest atoms and distances in Å follow each position.
Fractional coordinates of all 32 atoms:
1 S 0.8676 0.0437 0.7466  2 S 1.98-2.08
2 S 0.8514 0.7378 0.0418  2 S 2.05-2.11
3 S 0.7461 0.8426 0.8670  2 S 2.05-2.11
4 S 0.0403 0.8723 0.8504  2 S 2.08
5 S 0.1286 0.9594 0.2630  2 S 2.10-2.14
6 S 0.1573 0.2542 0.9623  2 S 2.04-2.07
7 S 0.2605 0.1477 0.1305  2 S 2.04-2.11
8 S 0.9548 0.1337 0.1526  2 S 2.07-2.14
9 S 0.7694 0.2389 0.7945  2 S 1.98-2.14
10 S 0.6920 0.7976 0.2402  2 S 2.05-2.08
11 S 0.7935 0.6955 0.7626  2 S 2.05-2.06
12 S 0.2471 0.7630 0.6974  2 S 2.02-2.08
13 S 0.2301 0.7562 0.2037  2 S 2.06-2.10
14 S 0.3019 0.2091 0.7528  2 S 2.01-2.07
15 S 0.2091 0.3023 0.2361  2 S 2.01-2.11
16 S 0.7522 0.2331 0.3057  2 S 2.06-2.07
17 S 0.8629 0.2950 0.6173  2 S 2.07-2.14
18 S 0.7310 0.6175 0.2936  2 S 2.08-2.10
19 S 0.6234 0.7210 0.8608  2 S 2.01-2.06
20 S 0.2942 0.8566 0.7263  2 S 2.02-2.05
21 S 0.1461 0.6986 0.3789  2 S 2.06-2.12
22 S 0.2763 0.3754 0.7053  2 S 2.01-2.02
23 S 0.3784 0.2724 0.1451  2 S 2.01-2.06
24 S 0.7060 0.1366 0.2740  2 S 2.02-2.06
25 S 0.0289 0.2292 0.6713  2 S 2.04-2.07
26 S 0.5739 0.6730 0.2272  2 S 1.99-2.10
27 S 0.6703 0.5759 0.0264  2 S 1.99-2.01
28 S 0.2311 0.0210 0.5735  2 S 2.04-2.05
29 S 0.9711 0.7711 0.3282  2 S 2.01-2.12
30 S 0.4228 0.3305 0.7683  2 S 2.02-2.08
31 S 0.3263 0.4260 0.9801  2 S 2.06-2.08
32 S 0.7719 0.9754 0.4269  2 S 2.01-2.02

## Properties
As for the magnetic moment: 0.0 μB per formula unit. The crystal system is triclinic.

=====

(ii) takes first place; second place is 17 meV per atom up.

=====

(i)
Entry from the Materials Project: a geometry-optimized S structure (PBE).

abc: 14.4804 14.4804 4.9259
angles: 90.00 90.00 120.00
Closest atoms and distances in Å follow each position.
Fractional coordinates of all 18 atoms:
1 S 0.2021 0.6530 0.6429  1 S 1.94
2 S 0.2740 0.4645 0.3247  2 S 1.93-1.94
3 S 0.1905 0.7260 0.3247  2 S 1.93-1.94
4 S 0.5355 0.8095 0.3247  2 S 1.93-1.94
5 S 0.1208 0.3789 0.3368  1 S 1.93
6 S 0.3470 0.5490 0.6429  1 S 1.94
7 S 0.6500 0.0624 0.1942  2 S 1.92-1.94
8 S 0.4510 0.7979 0.6429  1 S 1.94
9 S 0.5361 0.4807 0.0744  1 S 1.94
10 S 0.9376 0.5877 0.1942  2 S 1.92-1.94
11 S 0.2581 0.8792 0.3368  1 S 1.93
12 S 0.5193 0.0554 0.0744  1 S 1.94
13 S 0.4123 0.3500 0.1942  2 S 1.92-1.94
14 S 0.9446 0.4639 0.0744  1 S 1.94
15 S 0.6211 0.7419 0.3368  1 S 1.93
16 S 0.8273 0.5692 0.4410  1 S 1.92
17 S 0.4308 0.2582 0.4410  1 S 1.92
18 S 0.7418 0.1727 0.4410  1 S 1.92

## Properties
As for the magnetic moment: 0.0 μB per formula unit. The crystal system is trigonal.

=====

(ii)
Entry from the Materials Project: a geometry-optimized S structure (PBE).

abc: 4.2413 4.0085 6.1302
angles: 89.16 90.00 90.00
Closest atoms and distances in Å follow each position.
Fractional coordinates of all 4 atoms:
1 S 0.6691 0.2839 0.7584  2 S 2.12
2 S 0.8309 0.7839 0.7584  2 S 2.12
3 S 0.1691 0.2161 0.2416  2 S 2.12
4 S 0.3309 0.7161 0.2416  2 S 2.12

## Properties
As for the magnetic moment: 0.0 μB per formula unit. The crystal system is monoclinic.

=====

(i) takes first place; second place is 214 meV per atom up.

=====

(i)
Entry from the Materials Project: a geometry-optimized S structure (PBE).

abc: 6.2206 6.2647 3.0609
angles: 89.73 89.93 93.33
Closest atoms and distances in Å follow each position.
Fractional coordinates of all 4 atoms:
1 S 0.3477 0.0010 0.7503  1 S 1.90
2 S 0.6524 0.9989 0.7497  1 S 1.90
3 S 0.0059 0.6520 0.2489  1 S 1.90
4 S 0.9940 0.3481 0.2511  1 S 1.90

## Properties
As for the magnetic moment: 0.1 μB per formula unit. The crystal system is triclinic.

=====

(ii)
Entry from the Materials Project: a geometry-optimized S structure (PBE).

abc: 6.6398 6.6398 6.6398
angles: 113.09 113.09 113.09
Closest atoms and distances in Å follow each position.
Fractional coordinates of all 6 atoms:
1 S 0.1243 0.2282 0.8976  2 S 2.07
2 S 0.2282 0.8976 0.1243  2 S 2.07
3 S 0.8976 0.1243 0.2282  2 S 2.07
4 S 0.8757 0.7718 0.1024  2 S 2.07
5 S 0.7718 0.1024 0.8757  2 S 2.07
6 S 0.1024 0.8757 0.7718  2 S 2.07

## Properties
The crystal system is trigonal.

=====

(iii)
Entry from the Materials Project: a geometry-optimized S structure (PBE).

abc: 14.7219 14.1474 9.6196
angles: 73.80 67.34 38.86
Closest atoms and distances in Å follow each position.
Fractional coordinates of all 32 atoms:
1 S 0.8824 0.7781 0.7544  2 S 2.06
2 S 0.5851 0.7544 0.7781  2 S 2.06
3 S 0.7544 0.5851 0.8824  2 S 2.06
4 S 0.7781 0.8824 0.5851  2 S 2.06
5 S 0.3676 0.4719 0.4956  2 S 2.06
6 S 0.6649 0.4956 0.4719  2 S 2.06
7 S 0.4956 0.6649 0.3676  2 S 2.06
8 S 0.4719 0.3676 0.6649  2 S 2.06
9 S 0.8316 0.9298 0.8570  2 S 2.06
10 S 0.3815 0.8570 0.9298  2 S 2.06
11 S 0.8570 0.3815 0.8316  2 S 2.06
12 S 0.9298 0.8316 0.3815  2 S 2.06
13 S 0.4184 0.3202 0.3930  2 S 2.06
14 S 0.8685 0.3930 0.3202  2 S 2.06
15 S 0.3930 0.8685 0.4184  2 S 2.06
16 S 0.3202 0.4184 0.8685  2 S 2.06
17 S 0.0055 0.8990 0.7664  2 S 2.06
18 S 0.3291 0.7664 0.8990  2 S 2.06
19 S 0.7664 0.3291 0.0055  2 S 2.06
20 S 0.8990 0.0055 0.3291  2 S 2.06
21 S 0.2445 0.3510 0.4836  2 S 2.06
22 S 0.9209 0.4836 0.3510  2 S 2.06
23 S 0.4836 0.9209 0.2445  2 S 2.06
24 S 0.3510 0.2445 0.9209  2 S 2.06
25 S 0.9531 0.0529 0.6014  2 S 2.06
26 S 0.3927 0.6014 0.0529  2 S 2.06
27 S 0.6014 0.3927 0.9531  2 S 2.06
28 S 0.0529 0.9531 0.3927  2 S 2.06
29 S 0.2969 0.1971 0.6486  2 S 2.06
30 S 0.8573 0.6486 0.1971  2 S 2.06
31 S 0.6486 0.8573 0.2969  2 S 2.06
32 S 0.1971 0.2969 0.8573  2 S 2.06

## Properties
The crystal system is orthorhombic.

=====

(iv)
Entry from the Materials Project: a geometry-optimized S structure (PBE).

abc: 2.5760 2.5760 2.5760
angles: 90.00 90.00 90.00
Closest atoms and distances in Å follow each position.
Fractional coordinates of all 1 atoms:
1 S 0.0000 0.0000 0.0000  6 S 2.58

## Properties
As for the magnetic moment: 0.0 μB per formula unit. The crystal system is cubic.

=====

(iii) takes first place; second place is 63 meV per atom up.